[1]
Density functional theory data (r2SCAN) for Cr21W2C6 after structural relaxation.

Cell: 7.4859 7.4859 7.4859 Å, 60.00 60.00 60.00°
Sites, in units of the cell vectors:
Cr 0.0000 0.0000 0.0000
Cr 0.0000 0.0000 0.3395
Cr 0.0000 0.0000 0.6605
Cr 0.0000 0.3395 0.0000
Cr 0.0000 0.3395 0.6605
Cr 0.0000 0.6605 0.0000
Cr 0.0000 0.6605 0.3395
Cr 0.1538 0.6154 0.6154
Cr 0.3395 0.0000 0.0000
Cr 0.3395 0.0000 0.6605
Cr 0.3395 0.6605 0.0000
Cr 0.3846 0.3846 0.3846
Cr 0.3846 0.3846 0.8462
Cr 0.3846 0.8462 0.3846
Cr 0.6154 0.1538 0.6154
Cr 0.6154 0.6154 0.1538
Cr 0.6154 0.6154 0.6154
Cr 0.6605 0.0000 0.0000
Cr 0.6605 0.0000 0.3395
Cr 0.6605 0.3395 0.0000
Cr 0.8462 0.3846 0.3846
W 0.2500 0.2500 0.2500
W 0.7500 0.7500 0.7500
C 0.2752 0.2752 0.7248
C 0.2752 0.7248 0.2752
C 0.2752 0.7248 0.7248
C 0.7248 0.2752 0.2752
C 0.7248 0.2752 0.7248
C 0.7248 0.7248 0.2752

Output
E = -16.41 eV per atom
total magnetic moment = 0.1 μB/f.u.
energy of formation from the pure elements = 3.0 eV per formula unit

***

[2]
Density functional theory data (r2SCAN) for CsC8 after structural relaxation.

Cell: 4.9512 4.9512 18.1148 Å, 90.00 90.00 120.00°
Sites, in units of the cell vectors:
Cs 0.0000 0.0000 0.5000
Cs 0.0000 0.0000 0.8333
Cs 0.0000 0.0000 0.1667
C 0.1664 0.3330 0.3333
C 0.8334 0.1664 0.6667
C 0.3330 0.1666 0.0000
C 0.6670 0.8334 0.0000
C 0.1666 0.8336 0.6667
C 0.8334 0.6670 0.6667
C 0.8336 0.1666 0.0000
C 0.8336 0.6670 0.3333
C 0.3330 0.1664 0.3333
C 0.6670 0.8336 0.3333
C 0.1666 0.3330 0.6667
C 0.1664 0.8334 0.0000
C 0.1664 0.3329 0.0000
C 0.8336 0.1664 0.3333
C 0.3329 0.1664 0.6667
C 0.6671 0.8336 0.6667
C 0.1664 0.8336 0.3333
C 0.8336 0.6671 0.0000
C 0.3334 0.6668 0.0000
C 0.6666 0.3334 0.3333
C 0.6668 0.3334 0.6667
C 0.3332 0.6666 0.6667
C 0.3334 0.6666 0.3333
C 0.6666 0.3332 0.0000

Output
E = -11.70 eV per atom
total magnetic moment = 0.0 μB/f.u.
energy of formation from the pure elements = -0.6 eV per formula unit

***

[3]
Density functional theory data (r2SCAN) for Cs2Zr7CI18 after structural relaxation.

Cell: 11.7731 11.7731 11.7731 Å, 55.54 55.54 55.54°
Sites, in units of the cell vectors:
Cs 0.2246 0.2246 0.2246
Cs 0.7754 0.7754 0.7754
Zr 0.0875 0.8561 0.1880
Zr 0.1439 0.8120 0.9125
Zr 0.1880 0.0875 0.8561
Zr 0.5000 0.5000 0.5000
Zr 0.8120 0.9125 0.1439
Zr 0.8561 0.1880 0.0875
Zr 0.9125 0.1439 0.8120
C 0.0000 0.0000 0.0000
I 0.0562 0.3450 0.9312
I 0.0688 0.9438 0.6550
I 0.1277 0.2873 0.5845
I 0.2147 0.6427 0.4762
I 0.2873 0.5845 0.1277
I 0.3450 0.9312 0.0562
I 0.3573 0.5238 0.7853
I 0.4155 0.8723 0.7127
I 0.4762 0.2147 0.6427
I 0.5238 0.7853 0.3573
I 0.5845 0.1277 0.2873
I 0.6427 0.4762 0.2147
I 0.6550 0.0688 0.9438
I 0.7127 0.4155 0.8723
I 0.7853 0.3573 0.5238
I 0.8723 0.7127 0.4155
I 0.9312 0.0562 0.3450
I 0.9438 0.6550 0.0688

Output
E = -24.87 eV per atom
total magnetic moment = 0.0 μB/f.u.
energy of formation from the pure elements = -35.0 eV per formula unit

***

[4]
Density functional theory data (r2SCAN) for Cs2CN2 after structural relaxation.

Cell: 5.9179 5.9467 12.7412 Å, 83.11 83.40 73.64°
Sites, in units of the cell vectors:
Cs 0.0017 0.4961 0.2492
Cs 0.3304 0.8328 0.9159
Cs 0.3387 0.8323 0.4173
Cs 0.6613 0.1677 0.5827
Cs 0.6696 0.1672 0.0841
Cs 0.9983 0.5039 0.7508
C 0.0000 0.5000 0.0000
C 0.3294 0.8362 0.6667
C 0.6706 0.1638 0.3333
N 0.1564 0.0111 0.6674
N 0.1736 0.3257 0.9998
N 0.4976 0.3389 0.3338
N 0.5024 0.6611 0.6662
N 0.8264 0.6743 0.0002
N 0.8436 0.9889 0.3326

Output
E = -16.26 eV per atom
total magnetic moment = 0.0 μB/f.u.
energy of formation from the pure elements = -2.9 eV per formula unit

***

[5]
Density functional theory data (r2SCAN) for CsCO2 after structural relaxation.

Cell: 6.5728 10.9453 8.6281 Å, 90.00 97.39 90.00°
Sites, in units of the cell vectors:
Cs 0.2142 0.2019 0.0177
Cs 0.2142 0.2981 0.5177
Cs 0.2698 0.5894 0.1654
Cs 0.2698 0.9106 0.6654
Cs 0.7302 0.0894 0.3346
Cs 0.7302 0.4106 0.8346
Cs 0.7858 0.7019 0.4823
Cs 0.7858 0.7981 0.9823
C 0.1896 0.5565 0.7750
C 0.1896 0.9435 0.2750
C 0.3337 0.6090 0.6666
C 0.3337 0.8910 0.1666
C 0.6663 0.1090 0.8334
C 0.6663 0.3910 0.3334
C 0.8104 0.0565 0.7250
C 0.8104 0.4435 0.2250
O 0.0453 0.6253 0.8056
O 0.0453 0.8747 0.3056
O 0.2273 0.0500 0.3295
O 0.2273 0.4500 0.8295
O 0.2753 0.6078 0.5212
O 0.2753 0.8922 0.0212
O 0.4998 0.1533 0.7659
O 0.4998 0.3467 0.2659
O 0.5002 0.6533 0.7341
O 0.5002 0.8467 0.2341
O 0.7247 0.1078 0.9788
O 0.7247 0.3922 0.4788
O 0.7727 0.5500 0.1705
O 0.7727 0.9500 0.6705
O 0.9547 0.1253 0.6944
O 0.9547 0.3747 0.1944

Output
E = -13.40 eV per atom
total magnetic moment = 0.0 μB/f.u.
energy of formation from the pure elements = -6.6 eV per formula unit

***

[6]
Density functional theory data (r2SCAN) for Cs2PtC2 after structural relaxation.

Cell: 5.7011 5.7011 5.2127 Å, 90.00 90.00 120.00°
Sites, in units of the cell vectors:
Cs 0.3333 0.6667 0.2755
Cs 0.6667 0.3333 0.7245
Pt 0.0000 0.0000 0.0000
C 0.0000 0.0000 0.3783
C 0.0000 0.0000 0.6217

Output
E = -24.49 eV per atom
total magnetic moment = 0.0 μB/f.u.
energy of formation from the pure elements = -0.9 eV per formula unit

***

[7]
Density functional theory data (r2SCAN) for Na2CuH6C2O9 after structural relaxation.

Cell: 9.6681 6.0538 16.2997 Å, 90.00 124.21 90.00°
Sites, in units of the cell vectors:
Na 0.0358 0.2386 0.1999
Na 0.0358 0.2614 0.6999
Na 0.2964 0.0181 0.9029
Na 0.2964 0.4819 0.4029
Na 0.7036 0.5181 0.5971
Na 0.7036 0.9819 0.0971
Na 0.9642 0.7386 0.3001
Na 0.9642 0.7614 0.8001
Cu 0.2985 0.5070 0.1772
Cu 0.2985 0.9930 0.6772
Cu 0.7015 0.0070 0.3228
Cu 0.7015 0.4930 0.8228
H 0.0238 0.2398 0.0142
H 0.0238 0.2602 0.5142
H 0.1463 0.0695 0.0936
H 0.1463 0.4305 0.5936
H 0.2782 0.5459 0.8899
H 0.2782 0.9541 0.3899
H 0.2949 0.6058 0.9882
H 0.2949 0.8942 0.4882
H 0.4355 0.0224 0.1199
H 0.4355 0.4776 0.6199
H 0.4465 0.2414 0.5883
H 0.4465 0.2586 0.0883
H 0.5535 0.7414 0.9117
H 0.5535 0.7586 0.4117
H 0.5645 0.5224 0.3801
H 0.5645 0.9776 0.8801
H 0.7051 0.1058 0.5118
H 0.7051 0.3942 0.0118
H 0.7218 0.0459 0.6101
H 0.7218 0.4541 0.1101
H 0.8537 0.5695 0.4064
H 0.8537 0.9305 0.9064
H 0.9762 0.7398 0.4858
H 0.9762 0.7602 0.9858
C 0.0902 0.7416 0.1693
C 0.0902 0.7584 0.6693
C 0.4444 0.1553 0.3266
C 0.4444 0.3447 0.8266
C 0.5556 0.6553 0.1734
C 0.5556 0.8447 0.6734
C 0.9098 0.2416 0.3307
C 0.9098 0.2584 0.8307
O 0.0177 0.1380 0.8335
O 0.0177 0.3620 0.3335
O 0.1152 0.2256 0.0849
O 0.1152 0.2744 0.5849
O 0.1393 0.7377 0.6089
O 0.1393 0.7623 0.1089
O 0.1669 0.5817 0.2333
O 0.1669 0.9183 0.7333
O 0.2388 0.6508 0.9190
O 0.2388 0.8492 0.4190
O 0.3183 0.1525 0.3314
O 0.3183 0.3475 0.8314
O 0.4277 0.5233 0.1181
O 0.4277 0.9767 0.6181
O 0.4440 0.1017 0.0712
O 0.4440 0.3983 0.5712
O 0.4595 0.2111 0.7697
O 0.4595 0.2889 0.2697
O 0.5405 0.7111 0.7303
O 0.5405 0.7889 0.2303
O 0.5560 0.6017 0.4288
O 0.5560 0.8983 0.9288
O 0.5723 0.0233 0.3819
O 0.5723 0.4767 0.8819
O 0.6817 0.6525 0.1686
O 0.6817 0.8475 0.6686
O 0.7612 0.1508 0.5810
O 0.7612 0.3492 0.0810
O 0.8331 0.0817 0.2667
O 0.8331 0.4183 0.7667
O 0.8607 0.2377 0.8911
O 0.8607 0.2623 0.3911
O 0.8848 0.7256 0.4151
O 0.8848 0.7744 0.9151
O 0.9823 0.6380 0.6665
O 0.9823 0.8620 0.1665

Output
E = -6.96 eV per atom
total magnetic moment = 1.0 μB/f.u.
energy of formation from the pure elements = -26.8 eV per formula unit

***

[8]
Density functional theory data (r2SCAN) for K2CuC2O6 after structural relaxation.

Cell: 9.3874 6.4340 10.5396 Å, 61.67 37.11 81.22°
Sites, in units of the cell vectors:
K 0.2193 0.7807 0.3793
K 0.6293 0.8707 0.4693
K 0.7807 0.2193 0.6207
K 0.8707 0.6293 0.0307
Cu 0.1958 0.1958 0.8042
Cu 0.4458 0.4458 0.0542
C 0.1958 0.2860 0.0509
C 0.1991 0.7827 0.0542
C 0.2860 0.1958 0.4673
C 0.7827 0.1991 0.9640
O 0.0089 0.3629 0.8003
O 0.0413 0.0962 0.2807
O 0.0962 0.0413 0.5818
O 0.1356 0.3349 0.9653
O 0.2847 0.6858 0.1144
O 0.3349 0.1356 0.5642
O 0.3629 0.0089 0.8279
O 0.4221 0.4497 0.8871
O 0.4497 0.4221 0.2411
O 0.6682 0.9693 0.1538
O 0.6858 0.2847 0.9151
O 0.9693 0.6682 0.2087

Output
E = -8.75 eV per atom
total magnetic moment = 1.0 μB/f.u.
energy of formation from the pure elements = -17.6 eV per formula unit

***

Question: Look up the total magnetic moment of the seventh one.
Answer: 1.0 μB/f.u.